(1)
Here is a relaxed structure of LiTi2O4 from the Materials Project database. Energies are from PBE.

Properties
- Symmetry: Pm
- E: -0.6004 Ry per atom
- ΔE_f: -3.21 eV per atom
- Corrected total energy (MP2020 scheme): -239.73 eV for the cell shown
- V: 286 Å³ per cell
- Energy above the lowest structure with this stoichiometry: 40 meV/atom

abc: 8.204 3.913 8.905
angles: 90.00 90.10 90.00
Positions (direct):
O1 0.493 0.500 0.525
O2 0.495 0.000 0.725
O3 0.999 0.500 0.976
O4 0.750 0.500 0.770
O5 0.008 0.500 0.523
Ti1 0.737 0.000 0.261
O6 0.242 0.000 0.023
O7 0.756 0.000 0.026
Ti2 0.272 0.000 0.258
Ti3 0.980 0.500 0.755
Ti4 0.979 0.000 0.492
Li1 0.998 0.000 0.005
O8 0.249 0.000 0.478
O9 0.001 0.000 0.273
O10 0.500 0.500 0.981
Ti5 0.736 0.500 0.996
Ti6 0.270 0.500 0.995
O11 0.242 0.500 0.228
Ti7 0.513 0.000 0.489
O12 0.756 0.500 0.225
O13 0.500 0.000 0.263
Li2 0.251 0.500 0.505
O14 0.750 0.000 0.488
O15 0.008 0.000 0.728
Li3 0.252 0.000 0.740
Li4 0.999 0.500 0.240
O16 0.250 0.500 0.775
Ti8 0.513 0.500 0.755

***

(2)
Here is a relaxed structure of CsH3AuN from the Materials Project database. Energies are from PBE.

Properties
- Symmetry: C2/c
- E: -0.2998 Ry per atom
- ΔE_f: -0.36 eV per atom
- Corrected total energy (MP2020 scheme): -99.34 eV for the cell shown
- V: 504 Å³ per cell

abc: 5.231 5.231 18.477
angles: 87.22 87.22 86.62
Positions (direct):
H1 0.572 0.185 0.234
H2 0.815 0.428 0.266
Au1 0.492 0.735 0.549
Au2 0.265 0.508 0.951
Cs1 0.984 0.231 0.594
H3 0.428 0.815 0.766
H4 0.471 0.022 0.306
N1 0.505 0.011 0.251
H5 0.185 0.572 0.734
Cs2 0.769 0.016 0.906
H6 0.978 0.529 0.194
H7 0.022 0.471 0.806
N2 0.011 0.505 0.751
N3 0.989 0.495 0.249
H8 0.340 0.117 0.755
H9 0.117 0.340 0.255
H10 0.660 0.883 0.245
H11 0.529 0.978 0.694
H12 0.883 0.660 0.745
N4 0.495 0.989 0.749
Au3 0.735 0.492 0.049
Cs3 0.016 0.769 0.406
Au4 0.508 0.265 0.451
Cs4 0.231 0.984 0.094

***

(3)
Here is a relaxed structure of SnH14C4N2Cl4 from the Materials Project database. Energies are from PBE.

Properties
- Symmetry: P2_1/c
- E: -0.3584 Ry per atom
- ΔE_f: -0.47 eV per atom
- Corrected total energy (MP2020 scheme): -248.72 eV for the cell shown
- V: 695 Å³ per cell

abc: 6.690 8.584 13.034
angles: 90.00 111.71 90.00
Positions (direct):
C1 0.732 0.161 0.041
Cl1 0.777 0.798 0.523
Sn1 0.500 0.500 0.000
H1 0.355 0.853 0.048
H2 0.040 0.969 0.296
H3 0.934 0.777 0.295
H4 0.368 0.882 0.914
N1 0.783 0.327 0.068
H5 0.882 0.094 0.067
H6 0.960 0.031 0.704
N2 0.217 0.827 0.432
H7 0.871 0.134 0.523
H8 0.355 0.647 0.548
N3 0.783 0.173 0.568
H9 0.645 0.353 0.452
H10 0.129 0.634 0.977
Cl2 0.502 0.438 0.818
H11 0.066 0.277 0.205
Sn2 0.500 0.000 0.500
Cl3 0.498 0.938 0.682
C2 0.082 0.846 0.314
H12 0.828 0.305 0.236
H13 0.632 0.382 0.586
H14 0.118 0.906 0.933
H15 0.645 0.147 0.952
H16 0.040 0.531 0.796
Cl4 0.502 0.062 0.318
Cl5 0.777 0.702 0.023
C3 0.268 0.839 0.959
H17 0.871 0.366 0.023
H18 0.066 0.223 0.705
H19 0.172 0.695 0.764
H20 0.129 0.866 0.477
H21 0.368 0.618 0.414
Cl6 0.223 0.202 0.477
H22 0.118 0.594 0.433
H23 0.960 0.469 0.204
C4 0.268 0.661 0.459
H24 0.934 0.723 0.795
C5 0.082 0.654 0.814
H25 0.632 0.118 0.086
N4 0.217 0.673 0.932
Cl7 0.498 0.562 0.182
Cl8 0.223 0.298 0.977
C6 0.918 0.346 0.186
H26 0.172 0.805 0.264
H27 0.828 0.195 0.736
H28 0.882 0.406 0.567
C7 0.918 0.154 0.686
C8 0.732 0.339 0.541

***

(4)
Here is a relaxed structure of ThSiIr from the Materials Project database. Energies are from PBE.

Properties
- Symmetry: I4_1md
- E: -0.6066 Ry per atom
- ΔE_f: -1.03 eV per atom
- V: 127 Å³ per cell

abc: 7.817 7.817 7.817
angles: 148.90 148.90 44.55
Positions (direct):
Th1 0.328 0.828 0.500
Th2 0.578 0.578 0.000
Ir1 0.169 0.169 0.000
Si1 0.000 0.000 0.000
Ir2 0.919 0.419 0.500
Si2 0.750 0.250 0.500

***

(5)
Here is a relaxed structure of Eu2MgIn from the Materials Project database. Energies are from PBE.

Properties
- Symmetry: Fm-3m
- E: -0.4789 Ry per atom
- ΔE_f: -0.30 eV per atom
- V: 131 Å³ per cell

abc: 5.703 5.703 5.703
angles: 60.00 60.00 60.00
Positions (direct):
In1 0.500 0.500 0.500
Mg1 0.000 0.000 0.000
Eu1 0.750 0.750 0.750
Eu2 0.250 0.250 0.250

***

(6)
Here is a relaxed structure of Cr3AsN from the Materials Project database. Energies are from PBE.

Properties
- Symmetry: I4/mcm
- E: -0.6364 Ry per atom
- ΔE_f: -0.34 eV per atom
- Corrected total energy (MP2020 scheme): -87.31 eV for the cell shown
- V: 113 Å³ per cell

abc: 5.470 5.470 5.470
angles: 121.57 121.57 87.29
Positions (direct):
Cr1 0.250 0.250 0.000
Cr2 0.316 0.816 0.132
Cr3 0.750 0.750 0.000
As1 0.750 0.250 0.500
N1 0.000 0.000 0.000
Cr4 0.684 0.184 0.868
Cr5 0.816 0.684 0.500
Cr6 0.184 0.316 0.500
N2 0.500 0.500 0.000
As2 0.250 0.750 0.500

***

(7)
Here is a relaxed structure of Mg14CdBi from the Materials Project database. Energies are from PBE.

Properties
- Symmetry: P-6m2
- E: -0.1272 Ry per atom
- ΔE_f: -0.03 eV per atom
- V: 372 Å³ per cell
- Energy above the lowest structure with this stoichiometry: 0 meV/atom

abc: 6.409 6.409 10.445
angles: 90.00 90.00 120.00
Positions (direct):
Mg1 0.336 0.673 0.881
Mg2 0.667 0.334 0.125
Mg3 0.827 0.164 0.369
Mg4 0.833 0.667 0.375
Cd1 0.167 0.333 0.125
Mg5 0.827 0.164 0.881
Mg6 0.166 0.833 0.625
Mg7 0.166 0.833 0.125
Mg8 0.336 0.164 0.881
Mg9 0.667 0.334 0.625
Mg10 0.336 0.673 0.369
Mg11 0.667 0.833 0.625
Bi1 0.167 0.333 0.625
Mg12 0.336 0.164 0.369
Mg13 0.833 0.667 0.875
Mg14 0.667 0.833 0.125

***

(8)
Here is a relaxed structure of SiBH6C2NCl2 from the Materials Project database. Energies are from PBE.

Properties
- Symmetry: R3c
- E: -0.3973 Ry per atom
- ΔE_f: -0.66 eV per atom
- Corrected total energy (MP2020 scheme): -428.98 eV for the cell shown
- V: 1267 Å³ per cell

abc: 11.329 11.329 11.329
angles: 105.15 105.15 105.15
Positions (direct):
H1 0.597 0.348 0.344
Cl1 0.865 0.502 0.147
H2 0.506 0.898 0.632
H3 0.572 0.695 0.842
C1 0.723 0.539 0.878
B1 0.710 0.621 0.784
H4 0.842 0.572 0.695
H5 0.451 0.833 0.743
Cl2 0.035 0.676 0.015
Si1 0.127 0.356 0.542
Cl3 0.147 0.865 0.502
C2 0.039 0.223 0.378
C3 0.539 0.878 0.723
H6 0.097 0.844 0.848
H7 0.342 0.195 0.072
H8 0.255 0.670 0.253
C4 0.277 0.345 0.647
C5 0.345 0.647 0.277
H9 0.195 0.072 0.342
Cl4 0.647 0.002 0.365
H10 0.344 0.597 0.348
Si2 0.542 0.127 0.356
C6 0.223 0.378 0.039
H11 0.833 0.743 0.451
H12 0.253 0.255 0.670
H13 0.398 0.006 0.132
Cl5 0.515 0.176 0.535
C7 0.845 0.777 0.147
H14 0.695 0.842 0.572
H15 0.898 0.632 0.506
B2 0.284 0.121 0.210
H16 0.632 0.506 0.898
H17 0.848 0.097 0.844
Si3 0.042 0.856 0.627
H18 0.006 0.132 0.398
Si4 0.627 0.042 0.856
H19 0.753 0.170 0.755
Cl6 0.015 0.035 0.676
H20 0.670 0.253 0.255
N1 0.698 0.783 0.627
H21 0.929 0.821 0.239
N2 0.783 0.627 0.698
Cl7 0.502 0.147 0.865
C8 0.878 0.723 0.539
H22 0.755 0.753 0.170
H23 0.132 0.398 0.006
Si5 0.856 0.627 0.042
N3 0.627 0.698 0.783
N4 0.198 0.127 0.283
H24 0.951 0.243 0.333
H25 0.821 0.239 0.929
H26 0.429 0.739 0.321
C9 0.647 0.277 0.345
H27 0.072 0.342 0.195
Cl8 0.365 0.647 0.002
H28 0.170 0.755 0.753
H29 0.333 0.951 0.243
Cl9 0.002 0.365 0.647
H30 0.243 0.333 0.951
Cl10 0.176 0.535 0.515
B3 0.621 0.784 0.710
Cl11 0.676 0.015 0.035
H31 0.239 0.929 0.821
H32 0.844 0.848 0.097
B4 0.784 0.710 0.621
C10 0.777 0.147 0.845
B5 0.210 0.284 0.121
H33 0.739 0.321 0.429
H34 0.321 0.429 0.739
N5 0.127 0.283 0.198
Cl12 0.535 0.515 0.176
C11 0.378 0.039 0.223
B6 0.121 0.210 0.284
H35 0.348 0.344 0.597
Si6 0.356 0.542 0.127
C12 0.147 0.845 0.777
H36 0.743 0.451 0.833
N6 0.283 0.198 0.127

***

(9)
Here is a relaxed structure of Li3NbCu4O8 from the Materials Project database. Energies are from PBE.

Properties
- Symmetry: C2/m
- E: -0.4303 Ry per atom
- ΔE_f: -1.71 eV per atom
- Corrected total energy (MP2020 scheme): -99.17 eV for the cell shown
- V: 162 Å³ per cell

abc: 6.242 6.242 5.923
angles: 62.90 62.90 54.73
Positions (direct):
Li1 0.000 0.500 0.000
O1 0.266 0.781 0.210
O2 0.219 0.734 0.790
O3 0.734 0.219 0.790
Li2 0.500 0.000 0.000
Li3 0.000 0.000 0.500
O4 0.717 0.717 0.766
Nb1 0.500 0.500 0.000
O5 0.283 0.283 0.234
Cu1 0.000 0.500 0.500
Cu2 0.500 0.000 0.500
O6 0.781 0.266 0.210
Cu3 0.500 0.500 0.500
O7 0.291 0.291 0.681
O8 0.709 0.709 0.319
Cu4 0.000 0.000 0.000

***

(10)
Here is a relaxed structure of LiYGeO4 from the Materials Project database. Energies are from PBE.

Properties
- Symmetry: Pnma
- E: -0.5284 Ry per atom
- ΔE_f: -2.90 eV per atom
- Corrected total energy (MP2020 scheme): -212.30 eV for the cell shown
- V: 365 Å³ per cell

abc: 5.108 6.404 11.164
angles: 90.00 90.00 90.00
Positions (direct):
O1 0.767 0.962 0.339
O2 0.272 0.250 0.940
O3 0.267 0.038 0.161
O4 0.733 0.538 0.839
Ge1 0.078 0.250 0.582
Y1 0.479 0.750 0.227
O5 0.733 0.962 0.839
Li1 0.000 0.500 0.000
O6 0.267 0.462 0.161
Li2 0.500 0.500 0.500
O7 0.728 0.750 0.060
O8 0.772 0.750 0.560
Ge2 0.422 0.250 0.082
Y2 0.521 0.250 0.773
O9 0.233 0.462 0.661
Li3 0.000 0.000 0.000
O10 0.237 0.750 0.909
O11 0.767 0.538 0.339
O12 0.737 0.250 0.591
Y3 0.979 0.250 0.273
O13 0.263 0.750 0.409
O14 0.233 0.038 0.661
Y4 0.021 0.750 0.727
O15 0.228 0.250 0.440
O16 0.763 0.250 0.091
Ge3 0.922 0.750 0.418
Ge4 0.578 0.750 0.918
Li4 0.500 0.000 0.500

***

(11)
Here is a relaxed structure of Hg2P3Cl from the Materials Project database. Energies are from PBE.

Properties
- Symmetry: C2/c
- E: -0.2419 Ry per atom
- ΔE_f: -0.28 eV per atom
- Corrected total energy (MP2020 scheme): -40.72 eV for the cell shown
- V: 277 Å³ per cell

abc: 6.015 6.015 7.780
angles: 95.14 95.14 96.46
Positions (direct):
Cl1 0.373 0.627 0.250
Hg1 0.138 0.410 0.829
Hg2 0.410 0.138 0.329
Hg3 0.590 0.862 0.671
Cl2 0.627 0.373 0.750
P1 0.807 0.193 0.250
P2 0.058 0.173 0.473
P3 0.173 0.058 0.973
P4 0.193 0.807 0.750
Hg4 0.862 0.590 0.171
P5 0.942 0.827 0.527
P6 0.827 0.942 0.027

***

(12)
Here is a relaxed structure of SmMgMnS4 from the Materials Project database. Energies are from PBE.

Properties
- Symmetry: Imma
- E: -0.4263 Ry per atom
- ΔE_f: -1.51 eV per atom
- Corrected total energy (MP2020 scheme): -85.22 eV for the cell shown
- V: 320 Å³ per cell

abc: 7.868 7.637 7.639
angles: 60.17 58.97 59.03
Positions (direct):
S1 0.272 0.227 0.729
S2 0.728 0.271 0.773
S3 0.290 0.241 0.241
S4 0.271 0.759 0.759
Sm1 0.000 0.500 0.500
S5 0.728 0.773 0.271
Sm2 0.500 0.500 0.500
Mg1 0.125 0.125 0.125
Mg2 0.875 0.875 0.875
Mn1 0.500 0.000 0.500
S6 0.729 0.241 0.241
Mn2 0.500 0.500 0.000
S7 0.272 0.729 0.227
S8 0.710 0.759 0.759

***

Repeat the second record exactly.
Here is a relaxed structure of CsH3AuN from the Materials Project database. Energies are from PBE.

Properties
- Symmetry: C2/c
- E: -0.2998 Ry per atom
- ΔE_f: -0.36 eV per atom
- Corrected total energy (MP2020 scheme): -99.34 eV for the cell shown
- V: 504 Å³ per cell

abc: 5.231 5.231 18.477
angles: 87.22 87.22 86.62
Positions (direct):
H1 0.572 0.185 0.234
H2 0.815 0.428 0.266
Au1 0.492 0.735 0.549
Au2 0.265 0.508 0.951
Cs1 0.984 0.231 0.594
H3 0.428 0.815 0.766
H4 0.471 0.022 0.306
N1 0.505 0.011 0.251
H5 0.185 0.572 0.734
Cs2 0.769 0.016 0.906
H6 0.978 0.529 0.194
H7 0.022 0.471 0.806
N2 0.011 0.505 0.751
N3 0.989 0.495 0.249
H8 0.340 0.117 0.755
H9 0.117 0.340 0.255
H10 0.660 0.883 0.245
H11 0.529 0.978 0.694
H12 0.883 0.660 0.745
N4 0.495 0.989 0.749
Au3 0.735 0.492 0.049
Cs3 0.016 0.769 0.406
Au4 0.508 0.265 0.451
Cs4 0.231 0.984 0.094

***

What is the formula in the eighth record? SiBH6C2NCl2

***

Which of these has the highest E? Mg14CdBi